A relaxed BN crystal. Source: the Materials Project, functional PBE-GGA.

Properties
- polymorph energy (0 for the lowest one) (eV/atom) = 0.179
- ΔH_f (0 K) (eV/atom) = -1.28
- VASP energy (eV/atom) = -8.61
- V (Å³/f.u.) = 12

abc: 4.424 4.424 2.550
angles: 90.00 90.00 90.00
Atoms (fractional coordinates):
N 0.187 0.187 0.500
N 0.813 0.813 0.500
N 0.313 0.687 0.000
B 0.174 0.826 0.500
B 0.326 0.326 0.000
B 0.674 0.674 0.000
N 0.687 0.313 0.000
B 0.826 0.174 0.500